BaNaCr2F9 after structural relaxation, computed with GGA+U.

As for the space group: No. 14. As for the volume: 729 Å³/cell. As for the formation energy: -3.35 eV per atom.

Cell: 5.5409 17.6753 9.1645 Å, 90.00 125.67 90.00°
Positions (direct):
Ba1 0.1558 0.2150 0.4315
Ba2 0.1558 0.2850 0.9315
Ba3 0.8442 0.7150 0.0685
Ba4 0.8442 0.7850 0.5685
Na1 0.0641 0.5402 0.8112
Na2 0.0641 0.9598 0.3112
Na3 0.9359 0.0402 0.6888
Na4 0.9359 0.4598 0.1888
Cr1 0.3100 0.6216 0.5899
Cr2 0.3100 0.8784 0.0899
Cr3 0.4917 0.0801 0.2256
Cr4 0.4917 0.4199 0.7256
Cr5 0.5083 0.5801 0.2744
Cr6 0.5083 0.9199 0.7744
Cr7 0.6900 0.1216 0.9101
Cr8 0.6900 0.3784 0.4101
F1 0.0846 0.0757 0.9980
F2 0.0846 0.4243 0.4980
F3 0.1116 0.5825 0.0598
F4 0.1116 0.9175 0.5598
F5 0.1197 0.7080 0.4380
F6 0.1197 0.7920 0.9380
F7 0.2884 0.6646 0.7742
F8 0.2884 0.8354 0.2742
F9 0.3033 0.1635 0.8017
F10 0.3033 0.3365 0.3017
F11 0.3224 0.5677 0.4050
F12 0.3224 0.9323 0.9050
F13 0.3299 0.0819 0.3610
F14 0.3299 0.4181 0.8610
F15 0.4911 0.6874 0.2860
F16 0.4911 0.8126 0.7860
F17 0.4984 0.5317 0.7457
F18 0.4984 0.9683 0.2457
F19 0.5016 0.0317 0.7543
F20 0.5016 0.4683 0.2543
F21 0.5089 0.1874 0.2140
F22 0.5089 0.3126 0.7140
F23 0.6701 0.5819 0.1390
F24 0.6701 0.9181 0.6390
F25 0.6776 0.0677 0.0950
F26 0.6776 0.4323 0.5950
F27 0.6967 0.6635 0.6983
F28 0.6967 0.8365 0.1983
F29 0.7116 0.1646 0.7258
F30 0.7116 0.3354 0.2258
F31 0.8803 0.2080 0.0620
F32 0.8803 0.2920 0.5620
F33 0.8884 0.0825 0.4402
F34 0.8884 0.4175 0.9402
F35 0.9154 0.5757 0.5020
F36 0.9154 0.9243 0.0020

BaGdCrFeO6 after structural relaxation, computed with GGA+U.

As for the space group: No. 216. As for the volume: 142 Å³/cell. As for the formation energy: -5.15 eV per atom.

Cell: 5.8619 5.8619 5.8619 Å, 60.00 60.00 60.00°
Positions (direct):
Ba1 0.0000 0.0000 0.0000
Gd1 0.2500 0.2500 0.2500
Cr1 0.7500 0.7500 0.7500
Fe1 0.5000 0.5000 0.5000
O1 0.5104 0.5104 0.9896
O2 0.5104 0.9896 0.5104
O3 0.5104 0.9896 0.9896
O4 0.9896 0.5104 0.5104
O5 0.9896 0.5104 0.9896
O6 0.9896 0.9896 0.5104

BaSrGdCrO6 after structural relaxation, computed with GGA+U.

As for the space group: No. 216. As for the volume: 143 Å³/cell. As for the formation energy: -2.84 eV per atom.

Cell: 5.8764 5.8764 5.8764 Å, 60.00 60.00 60.00°
Positions (direct):
Ba1 0.0000 0.0000 0.0000
Sr1 0.5000 0.5000 0.5000
Gd1 0.2500 0.2500 0.2500
Cr1 0.7500 0.7500 0.7500
O1 0.5203 0.5203 0.9797
O2 0.5203 0.9797 0.5203
O3 0.5203 0.9797 0.9797
O4 0.9797 0.5203 0.5203
O5 0.9797 0.5203 0.9797
O6 0.9797 0.9797 0.5203

BaCrInWO6 after structural relaxation, computed with GGA+U.

As for the space group: No. 216. As for the volume: 133 Å³/cell. As for the formation energy: -2.23 eV per atom.

Cell: 5.7227 5.7227 5.7227 Å, 60.00 60.00 60.00°
Positions (direct):
Ba1 0.0000 0.0000 0.0000
Cr1 0.7500 0.7500 0.7500
In1 0.5000 0.5000 0.5000
W1 0.2500 0.2500 0.2500
O1 0.0063 0.0063 0.4937
O2 0.0063 0.4937 0.0063
O3 0.0063 0.4937 0.4937
O4 0.4937 0.0063 0.0063
O5 0.4937 0.0063 0.4937
O6 0.4937 0.4937 0.0063

KBaCr2P3O12 after structural relaxation, computed with GGA+U.

As for the space group: No. 198. The value obtained for the energy above the most stable polymorph in this dataset is 0.0 meV per atom. As for the volume: 988 Å³/cell. As for the formation energy: -2.80 eV per atom.

Cell: 9.9609 9.9609 9.9609 Å, 90.00 90.00 90.00°
Positions (direct):
K1 0.2033 0.2967 0.7033
K2 0.2967 0.7033 0.2033
K3 0.7033 0.2033 0.2967
K4 0.7967 0.7967 0.7967
Ba1 0.0675 0.9325 0.4325
Ba2 0.4325 0.0675 0.9325
Ba3 0.5675 0.5675 0.5675
Ba4 0.9325 0.4325 0.0675
Cr1 0.0867 0.0867 0.0867
Cr2 0.1482 0.6482 0.8518
Cr3 0.3518 0.3518 0.3518
Cr4 0.4133 0.9133 0.5867
Cr5 0.5867 0.4133 0.9133
Cr6 0.6482 0.8518 0.1482
Cr7 0.8518 0.1482 0.6482
Cr8 0.9133 0.5867 0.4133
P1 0.0403 0.2741 0.3741
P2 0.1259 0.9597 0.7741
P3 0.2259 0.6259 0.5403
P4 0.2741 0.3741 0.0403
P5 0.3741 0.0403 0.2741
P6 0.4597 0.7259 0.8741
P7 0.5403 0.2259 0.6259
P8 0.6259 0.5403 0.2259
P9 0.7259 0.8741 0.4597
P10 0.7741 0.1259 0.9597
P11 0.8741 0.4597 0.7259
P12 0.9597 0.7741 0.1259
O1 0.0052 0.4225 0.3460
O2 0.0142 0.1989 0.2390
O3 0.0230 0.0506 0.7027
O4 0.0506 0.7027 0.0230
O5 0.0775 0.6540 0.5052
O6 0.0779 0.8123 0.7584
O7 0.1540 0.9948 0.9225
O8 0.1877 0.2584 0.4221
O9 0.1989 0.2390 0.0142
O10 0.2027 0.4770 0.9494
O11 0.2390 0.0142 0.1989
O12 0.2416 0.5779 0.6877
O13 0.2584 0.4221 0.1877
O14 0.2610 0.9858 0.6989
O15 0.2973 0.5230 0.4494
O16 0.3011 0.7610 0.5142
O17 0.3123 0.7416 0.9221
O18 0.3460 0.0052 0.4225
O19 0.4221 0.1877 0.2584
O20 0.4225 0.3460 0.0052
O21 0.4494 0.2973 0.5230
O22 0.4770 0.9494 0.2027
O23 0.4858 0.8011 0.7390
O24 0.4948 0.5775 0.8460
O25 0.5052 0.0775 0.6540
O26 0.5142 0.3011 0.7610
O27 0.5230 0.4494 0.2973
O28 0.5506 0.7973 0.9770
O29 0.5775 0.8460 0.4948
O30 0.5779 0.6877 0.2416
O31 0.6540 0.5052 0.0775
O32 0.6877 0.2416 0.5779
O33 0.6989 0.2610 0.9858
O34 0.7027 0.0230 0.0506
O35 0.7390 0.4858 0.8011
O36 0.7416 0.9221 0.3123
O37 0.7584 0.0779 0.8123
O38 0.7610 0.5142 0.3011
O39 0.7973 0.9770 0.5506
O40 0.8011 0.7390 0.4858
O41 0.8123 0.7584 0.0779
O42 0.8460 0.4948 0.5775
O43 0.9221 0.3123 0.7416
O44 0.9225 0.1540 0.9948
O45 0.9494 0.2027 0.4770
O46 0.9770 0.5506 0.7973
O47 0.9858 0.6989 0.2610
O48 0.9948 0.9225 0.1540

KBaCr2P3O12 after structural relaxation, computed with GGA+U.

As for the space group: No. 4. The value obtained for the energy above the most stable polymorph in this dataset is 20.0 meV per atom. As for the volume: 1967 Å³/cell. As for the formation energy: -2.78 eV per atom.

Cell: 9.9420 9.9448 19.8897 Å, 90.00 90.07 90.00°
Positions (direct):
K1 0.0663 0.0000 0.1577
K2 0.0664 0.0012 0.6585
K3 0.2014 0.6379 0.0232
K4 0.4331 0.8673 0.4083
K5 0.5669 0.3673 0.5917
K6 0.7986 0.1379 0.9768
K7 0.9337 0.5000 0.8423
K8 0.9336 0.5012 0.3415
Ba1 0.2051 0.6394 0.5223
Ba2 0.2934 0.2285 0.2727
Ba3 0.2929 0.2306 0.7726
Ba4 0.4308 0.8655 0.9097
Ba5 0.5692 0.3655 0.0903
Ba6 0.7066 0.7285 0.7273
Ba7 0.7071 0.7306 0.2274
Ba8 0.7949 0.1394 0.4777
Cr1 0.0851 0.8480 0.8319
Cr2 0.0865 0.8470 0.3314
Cr3 0.1448 0.2872 0.9490
Cr4 0.1469 0.2871 0.4485
Cr5 0.3502 0.5825 0.1983
Cr6 0.3528 0.5806 0.6987
Cr7 0.4115 0.0204 0.0821
Cr8 0.4135 0.0212 0.5814
Cr9 0.5865 0.5212 0.4186
Cr10 0.5885 0.5204 0.9179
Cr11 0.6472 0.0806 0.3013
Cr12 0.6498 0.0825 0.8017
Cr13 0.8531 0.7871 0.5515
Cr14 0.8552 0.7872 0.0510
Cr15 0.9135 0.3470 0.6686
Cr16 0.9149 0.3480 0.1681
P1 0.0403 0.6597 0.6888
P2 0.0408 0.6600 0.1884
P3 0.1258 0.9747 0.9883
P4 0.1275 0.9744 0.4878
P5 0.2247 0.3072 0.1042
P6 0.2256 0.3065 0.6048
P7 0.2733 0.5609 0.8554
P8 0.2743 0.5616 0.3549
P9 0.3724 0.8938 0.2380
P10 0.3723 0.8939 0.7373
P11 0.4598 0.2085 0.4387
P12 0.4600 0.2086 0.9385
P13 0.5402 0.7085 0.5613
P14 0.5400 0.7086 0.0615
P15 0.6277 0.3939 0.2627
P16 0.6276 0.3938 0.7620
P17 0.7257 0.0616 0.6451
P18 0.7267 0.0609 0.1446
P19 0.7744 0.8065 0.3952
P20 0.7753 0.8072 0.8958
P21 0.8725 0.4744 0.5122
P22 0.8742 0.4747 0.0117
P23 0.9592 0.1600 0.8116
P24 0.9597 0.1597 0.3112
O1 0.0054 0.5119 0.2012
O2 0.0056 0.5119 0.7011
O3 0.0128 0.7358 0.2553
O4 0.0131 0.7363 0.7551
O5 0.0234 0.8817 0.5226
O6 0.0230 0.8828 0.0228
O7 0.0524 0.2293 0.3634
O8 0.0537 0.2295 0.8628
O9 0.0762 0.1220 0.4951
O10 0.0783 0.1224 0.9952
O11 0.0780 0.2817 0.1226
O12 0.0778 0.2819 0.6222
O13 0.1521 0.9395 0.4139
O14 0.1543 0.9392 0.9139
O15 0.1879 0.6744 0.6632
O16 0.1881 0.6750 0.1640
O17 0.1980 0.6944 0.3684
O18 0.2006 0.6963 0.8674
O19 0.2054 0.4554 0.8999
O20 0.2049 0.4574 0.4012
O21 0.2403 0.3579 0.5311
O22 0.2397 0.9210 0.2761
O23 0.2407 0.9206 0.7768
O24 0.2419 0.3561 0.0310
O25 0.2598 0.5101 0.2811
O26 0.2605 0.5106 0.7811
O27 0.2604 0.9474 0.5261
O28 0.2624 0.9483 0.0246
O29 0.2952 0.4107 0.6512
O30 0.2977 0.4093 0.1514
O31 0.3022 0.1737 0.6183
O32 0.3037 0.1750 0.1188
O33 0.3120 0.1939 0.4131
O34 0.3125 0.1936 0.9130
O35 0.3479 0.9286 0.1640
O36 0.3477 0.9287 0.6637
O37 0.4223 0.5863 0.3722
O38 0.4226 0.5882 0.8723
O39 0.4237 0.7463 0.2451
O40 0.4239 0.7465 0.7455
O41 0.4476 0.6392 0.6134
O42 0.4506 0.6369 0.1139
O43 0.4766 0.9855 0.7734
O44 0.4766 0.9867 0.2726
O45 0.4852 0.1329 0.0055
O46 0.4868 0.1320 0.5051
O47 0.4945 0.3563 0.4511
O48 0.4950 0.3566 0.9519
O49 0.5055 0.8563 0.5489
O50 0.5050 0.8566 0.0481
O51 0.5132 0.6320 0.4949
O52 0.5148 0.6329 0.9945
O53 0.5234 0.4855 0.2266
O54 0.5234 0.4867 0.7274
O55 0.5494 0.1369 0.8861
O56 0.5524 0.1392 0.3866
O57 0.5763 0.2463 0.7549
O58 0.5761 0.2465 0.2545
O59 0.5774 0.0882 0.1277
O60 0.5777 0.0863 0.6278
O61 0.6523 0.4287 0.3363
O62 0.6521 0.4286 0.8360
O63 0.6875 0.6936 0.0870
O64 0.6880 0.6939 0.5869
O65 0.6963 0.6750 0.8812
O66 0.6978 0.6737 0.3817
O67 0.7023 0.9093 0.8486
O68 0.7048 0.9107 0.3488
O69 0.7376 0.4483 0.9754
O70 0.7402 0.0101 0.7189
O71 0.7395 0.0106 0.2189
O72 0.7396 0.4474 0.4739
O73 0.7581 0.8561 0.9690
O74 0.7593 0.4206 0.2232
O75 0.7603 0.4210 0.7239
O76 0.7597 0.8579 0.4689
O77 0.7946 0.9554 0.1001
O78 0.7951 0.9574 0.5988
O79 0.7994 0.1963 0.1326
O80 0.8020 0.1944 0.6316
O81 0.8121 0.1744 0.3368
O82 0.8119 0.1750 0.8360
O83 0.8457 0.4392 0.0861
O84 0.8479 0.4395 0.5861
O85 0.9217 0.6224 0.0048
O86 0.9222 0.7819 0.3778
O87 0.9220 0.7817 0.8774
O88 0.9238 0.6220 0.5049
O89 0.9463 0.7295 0.1372
O90 0.9476 0.7293 0.6366
O91 0.9766 0.3817 0.4774
O92 0.9770 0.3828 0.9772
O93 0.9869 0.2363 0.2449
O94 0.9872 0.2358 0.7447
O95 0.9944 0.0119 0.2989
O96 0.9946 0.0119 0.7988

BaLaCrMoO6 after structural relaxation, computed with GGA+U.

As for the space group: No. 216. As for the volume: 133 Å³/cell. As for the formation energy: -2.72 eV per atom.

Cell: 5.7256 5.7256 5.7256 Å, 60.00 60.00 60.00°
Positions (direct):
Ba1 0.0000 0.0000 0.0000
La1 0.5000 0.5000 0.5000
Cr1 0.7500 0.7500 0.7500
Mo1 0.2500 0.2500 0.2500
O1 0.5035 0.5035 0.9965
O2 0.5035 0.9965 0.5035
O3 0.5035 0.9965 0.9965
O4 0.9965 0.5035 0.5035
O5 0.9965 0.5035 0.9965
O6 0.9965 0.9965 0.5035

Ba3La2Ti3Cr2O15 after structural relaxation, computed with GGA+U.

As for the volume: 636 Å³/cell. As for the formation energy: -3.35 eV per atom.

Cell: 5.6751 7.9852 14.3248 Å, 90.00 78.57 90.00°
Positions (direct):
O1 0.2959 0.0000 0.4081
O2 0.1057 0.0000 0.7885
O3 0.4823 0.2500 0.5062
O4 0.6943 0.5000 0.6115
O5 0.0115 0.7500 0.5062
O6 0.5041 0.5000 0.9920
O7 0.9000 0.5000 0.2000
O8 0.9000 0.7500 0.7000
O9 0.4000 0.7500 0.7000
O10 0.5997 0.2500 0.3020
O11 0.1057 0.5000 0.7885
O12 0.6943 0.0000 0.6115
O13 0.7885 0.2500 0.8938
O14 0.9000 0.0000 0.2000
O15 0.4000 0.2500 0.7000
O16 0.2003 0.7500 0.0980
O17 0.9000 0.2500 0.7000
O18 0.3177 0.2500 0.8938
O19 0.7019 0.2500 0.0980
O20 0.2959 0.5000 0.4081
O21 0.3177 0.7500 0.8938
O22 0.0981 0.7500 0.3020
O23 0.0115 0.2500 0.5062
O24 0.2003 0.2500 0.0980
O25 0.4823 0.7500 0.5062
O26 0.7885 0.7500 0.8938
O27 0.5041 0.0000 0.9920
O28 0.7019 0.7500 0.0980
O29 0.5997 0.7500 0.3020
O30 0.0981 0.2500 0.3020
Ti1 0.2975 0.2500 0.4051
Ti2 0.2975 0.7500 0.4051
Ti3 0.5025 0.7500 0.9949
Ti4 0.9000 0.7500 0.2000
Ti5 0.5025 0.2500 0.9949
Ti6 0.9000 0.2500 0.2000
Cr1 0.6991 0.7500 0.6019
Cr2 0.1009 0.7500 0.7981
Cr3 0.6991 0.2500 0.6019
Cr4 0.1010 0.2500 0.7981
La1 0.6031 0.5000 0.7936
La2 0.1968 0.5000 0.6064
La3 0.6032 0.0000 0.7936
La4 0.1968 0.0000 0.6064
Ba1 0.4000 0.0000 0.2000
Ba2 0.4000 0.5000 0.2000
Ba3 0.0017 0.0000 0.9965
Ba4 0.0017 0.5000 0.9965
Ba5 0.7983 0.5000 0.4035
Ba6 0.7983 0.0000 0.4035